# 1
A relaxed ErSiPd crystal, computed with PBE.

```
ErSiPd
1.0
4.316 0.000 0.000
0.000 13.853 0.000
0.000 0.000 7.447
Er Si Pd
8 8 8
Direct
0.250 0.001 0.210
0.250 0.250 0.300
0.250 0.499 0.210
0.250 0.750 0.293
0.750 0.250 0.707
0.750 0.501 0.790
0.750 0.750 0.700
0.750 0.999 0.790
0.250 0.105 0.593
0.250 0.395 0.593
0.250 0.657 0.908
0.250 0.843 0.908
0.750 0.157 0.092
0.750 0.343 0.092
0.750 0.605 0.407
0.750 0.895 0.407
0.250 0.141 0.924
0.250 0.359 0.924
0.250 0.593 0.582
0.250 0.907 0.582
0.750 0.093 0.418
0.750 0.407 0.418
0.750 0.641 0.076
0.750 0.859 0.076
```

Computed properties:
calculated density = 9.0 g/cm3
calculated volume = 55.7 Å³/f.u.
DFT total energy = -6.069 eV per atom
crystal system = orthorhombic

***

# 2
A relaxed Ba2LiTbIrO6 crystal, computed with PBE.

```
Ba2LiTbIrO6
1.0
-2.953 3.022 4.449
2.953 -3.022 4.449
2.953 3.022 -4.449
Ba Li Tb Ir O
2 1 1 1 6
Direct
0.206 0.206 0.000
0.794 0.794 0.000
0.500 0.500 0.000
0.500 0.000 0.500
0.000 0.500 0.500
0.232 0.732 0.500
0.250 0.270 0.520
0.250 0.730 0.981
0.750 0.270 0.019
0.750 0.730 0.480
0.768 0.268 0.500
```

Computed properties:
E above lowest polymorph = 1.2 meV per atom
calculated density = 7.6 g/cm3
calculated volume = 158.8 Å³/f.u.
DFT total energy = -6.611 eV per atom
crystal system = orthorhombic
spin magnetization = 1.00 Bohr magnetons per cell

***

# 3
A relaxed Na6Mg4Nb2Si3S6O36 crystal, computed with PBE.

```
Na6Mg4Nb2Si3S6O36
1.0
8.888 0.000 0.000
-4.444 7.697 0.000
0.000 0.000 22.624
Na Mg Nb Si S O
12 8 4 6 12 72
Direct
0.000 0.000 0.000
0.000 0.000 0.500
0.040 0.356 0.093
0.040 0.684 0.593
0.316 0.356 0.593
0.316 0.960 0.093
0.333 0.667 0.173
0.333 0.667 0.673
0.644 0.684 0.093
0.644 0.960 0.593
0.667 0.333 0.337
0.667 0.333 0.837
0.000 0.000 0.360
0.000 0.000 0.860
0.333 0.667 0.025
0.333 0.667 0.325
0.333 0.667 0.525
0.333 0.667 0.825
0.667 0.333 0.192
0.667 0.333 0.692
0.000 0.000 0.155
0.000 0.000 0.655
0.667 0.333 0.493
0.667 0.333 0.993
0.379 0.040 0.596
0.379 0.339 0.096
0.661 0.040 0.096
0.661 0.621 0.596
0.960 0.339 0.596
0.960 0.621 0.096
0.000 0.293 0.261
0.000 0.707 0.761
0.040 0.372 0.925
0.040 0.668 0.425
0.293 0.000 0.261
0.293 0.293 0.761
0.332 0.372 0.425
0.332 0.960 0.925
0.628 0.668 0.925
0.628 0.960 0.425
0.707 0.000 0.761
0.707 0.707 0.261
0.016 0.195 0.919
0.016 0.821 0.419
0.017 0.201 0.205
0.017 0.816 0.705
0.124 0.481 0.873
0.124 0.644 0.373
0.135 0.449 0.980
0.135 0.686 0.480
0.152 0.492 0.582
0.152 0.661 0.082
0.161 0.463 0.263
0.161 0.698 0.763
0.179 0.195 0.419
0.179 0.984 0.919
0.184 0.201 0.705
0.184 0.983 0.205
0.187 0.032 0.602
0.187 0.155 0.102
0.200 0.017 0.312
0.200 0.183 0.812
0.302 0.463 0.763
0.302 0.839 0.263
0.314 0.449 0.480
0.314 0.865 0.980
0.339 0.492 0.082
0.339 0.848 0.582
0.356 0.481 0.373
0.356 0.876 0.873
0.464 0.157 0.256
0.464 0.307 0.756
0.465 0.176 0.536
0.465 0.289 0.036
0.496 0.139 0.929
0.496 0.356 0.429
0.500 0.121 0.651
0.500 0.378 0.151
0.508 0.661 0.582
0.508 0.848 0.082
0.519 0.644 0.873
0.519 0.876 0.373
0.537 0.698 0.263
0.537 0.839 0.763
0.551 0.686 0.980
0.551 0.865 0.480
0.622 0.121 0.151
0.622 0.500 0.651
0.644 0.139 0.429
0.644 0.504 0.929
0.693 0.157 0.756
0.693 0.536 0.256
0.711 0.176 0.036
0.711 0.535 0.536
0.799 0.816 0.205
0.799 0.983 0.705
0.805 0.821 0.919
0.805 0.984 0.419
0.817 0.017 0.812
0.817 0.800 0.312
0.824 0.289 0.536
0.824 0.535 0.036
0.843 0.307 0.256
0.843 0.536 0.756
0.845 0.032 0.102
0.845 0.813 0.602
0.861 0.356 0.929
0.861 0.504 0.429
0.879 0.378 0.651
0.879 0.500 0.151
0.968 0.155 0.602
0.968 0.813 0.102
0.983 0.183 0.312
0.983 0.800 0.812
```

Computed properties:
calculated density = 2.7 g/cm3
calculated volume = 773.9 Å³/f.u.
DFT total energy = -6.514 eV per atom
crystal system = trigonal
spin magnetization = 0.00 Bohr magnetons per cell

***

# 4
A relaxed HfO2 crystal, computed with PBE.

```
HfO2
1.0
10.552 0.000 0.000
-0.196 11.209 0.000
-0.073 -0.443 11.356
Hf O
34 68
Direct
0.000 0.000 0.000
0.002 0.071 0.730
0.038 0.550 0.040
0.167 0.863 0.549
0.195 0.262 0.973
0.203 0.565 0.583
0.218 0.314 0.331
0.235 0.015 0.274
0.287 0.304 0.646
0.298 0.068 0.796
0.366 0.567 0.959
0.378 0.786 0.762
0.440 0.294 0.140
0.475 0.000 0.023
0.487 0.788 0.204
0.493 0.839 0.483
0.553 0.450 0.569
0.558 0.096 0.393
0.615 0.031 0.717
0.617 0.380 0.816
0.657 0.693 0.717
0.672 0.699 0.004
0.695 0.627 0.367
0.698 0.323 0.308
0.730 0.441 0.066
0.733 0.160 0.977
0.741 0.965 0.198
0.783 0.238 0.610
0.812 0.907 0.515
0.951 0.728 0.762
0.959 0.216 0.217
0.961 0.434 0.782
0.968 0.504 0.329
0.998 0.816 0.240
0.003 0.944 0.582
0.017 0.607 0.877
0.027 0.636 0.210
0.060 0.381 0.206
0.065 0.391 0.942
0.074 0.170 0.078
0.090 0.716 0.616
0.095 0.148 0.320
0.106 0.937 0.150
0.128 0.085 0.884
0.130 0.486 0.434
0.140 0.874 0.368
0.145 0.433 0.683
0.172 0.127 0.660
0.210 0.610 0.038
0.241 0.911 0.708
0.275 0.256 0.816
0.294 0.256 0.476
0.300 0.631 0.802
0.303 0.177 0.222
0.333 0.749 0.570
0.338 0.392 0.010
0.343 0.402 0.247
0.362 0.478 0.565
0.365 0.144 0.996
0.368 0.931 0.160
0.377 0.923 0.885
0.378 0.984 0.419
0.446 0.085 0.689
0.452 0.680 0.068
0.452 0.718 0.356
0.473 0.328 0.691
0.526 0.228 0.288
0.536 0.729 0.859
0.544 0.840 0.671
0.564 0.534 0.740
0.579 0.938 0.298
0.588 0.403 0.177
0.596 0.524 0.964
0.598 0.289 0.971
0.612 0.867 0.074
0.617 0.623 0.549
0.618 0.095 0.107
0.622 0.021 0.892
0.624 0.459 0.404
0.625 0.994 0.528
0.642 0.247 0.487
0.659 0.696 0.205
0.678 0.202 0.756
0.678 0.797 0.442
0.726 0.398 0.659
0.744 0.119 0.317
0.781 0.720 0.857
0.793 0.489 0.246
0.803 0.285 0.124
0.805 0.389 0.889
0.810 0.796 0.649
0.812 0.056 0.640
0.834 0.590 0.043
0.863 0.075 0.108
0.868 0.906 0.336
0.878 0.851 0.105
0.880 0.646 0.405
0.886 0.100 0.885
0.892 0.326 0.368
0.899 0.563 0.688
0.951 0.258 0.697
0.996 0.895 0.840
```

Computed properties:
calculated density = 8.8 g/cm3
calculated volume = 39.5 Å³/f.u.
DFT total energy = -9.925 eV per atom
crystal system = triclinic
spin magnetization = 0.00 Bohr magnetons per cell

***

# 5
A relaxed SiO2 crystal, computed with PBE.

```
SiO2
1.0
4.979 -7.081 0.000
4.979 7.081 0.000
0.000 0.000 28.315
Si O
32 64
Direct
0.007 0.307 0.616
0.007 0.307 0.884
0.152 0.161 0.195
0.152 0.161 0.305
0.161 0.152 0.695
0.161 0.152 0.805
0.211 0.476 0.134
0.211 0.476 0.366
0.307 0.007 0.116
0.307 0.007 0.384
0.321 0.365 0.554
0.321 0.365 0.946
0.365 0.321 0.054
0.365 0.321 0.446
0.476 0.211 0.634
0.476 0.211 0.866
0.524 0.789 0.134
0.524 0.789 0.366
0.635 0.679 0.554
0.635 0.679 0.946
0.679 0.635 0.054
0.679 0.635 0.446
0.693 0.993 0.616
0.693 0.993 0.884
0.789 0.524 0.634
0.789 0.524 0.866
0.839 0.848 0.195
0.839 0.848 0.305
0.848 0.839 0.695
0.848 0.839 0.805
0.993 0.693 0.116
0.993 0.693 0.384
0.038 0.962 0.691
0.038 0.962 0.809
0.059 0.542 0.125
0.059 0.542 0.375
0.090 0.271 0.665
0.090 0.271 0.835
0.143 0.857 0.100
0.143 0.857 0.400
0.144 0.357 0.574
0.144 0.357 0.926
0.161 0.340 0.176
0.161 0.340 0.324
0.178 0.212 0.750
0.212 0.178 0.250
0.248 0.395 0.085
0.248 0.395 0.415
0.271 0.090 0.165
0.271 0.090 0.335
0.299 0.299 0.000
0.299 0.299 0.500
0.340 0.161 0.676
0.340 0.161 0.824
0.357 0.144 0.074
0.357 0.144 0.426
0.373 0.627 0.150
0.373 0.627 0.350
0.395 0.248 0.585
0.395 0.248 0.915
0.446 0.554 0.556
0.446 0.554 0.944
0.458 0.941 0.125
0.458 0.941 0.375
0.542 0.059 0.625
0.542 0.059 0.875
0.554 0.446 0.056
0.554 0.446 0.444
0.605 0.752 0.085
0.605 0.752 0.415
0.627 0.373 0.650
0.627 0.373 0.850
0.643 0.856 0.574
0.643 0.856 0.926
0.660 0.839 0.176
0.660 0.839 0.324
0.701 0.701 0.000
0.701 0.701 0.500
0.729 0.910 0.665
0.729 0.910 0.835
0.752 0.605 0.585
0.752 0.605 0.915
0.788 0.822 0.750
0.822 0.788 0.250
0.839 0.660 0.676
0.839 0.660 0.824
0.856 0.643 0.074
0.856 0.643 0.426
0.857 0.143 0.600
0.857 0.143 0.900
0.910 0.729 0.165
0.910 0.729 0.335
0.941 0.458 0.625
0.941 0.458 0.875
0.962 0.038 0.191
0.962 0.038 0.309
```

Computed properties:
calculated density = 1.6 g/cm3
calculated volume = 62.4 Å³/f.u.
DFT total energy = -7.904 eV per atom
crystal system = orthorhombic
spin magnetization = 0.00 Bohr magnetons per cell

***

no.,energy of formation (eV/atom)
1,-1.012
2,-2.540
3,-2.496
4,-3.765
5,-3.255